# 1
Material: LuAgS2
Method: DFT, PBE
State: relaxed

a b c (Å): 5.3508 5.3508 12.0075
angles (deg): 90.00 90.00 90.00
With the nearest neighbours (Å) after each atom.
Atoms (fractional coordinates):
Lu: 0.0000 0.2500 0.3750  6 S 2.69
Lu: 0.0000 0.7500 0.6250  6 S 2.69
Lu: 0.5000 0.2500 0.1250  6 S 2.69
Lu: 0.5000 0.7500 0.8750  6 S 2.69
Ag: 0.0000 0.2500 0.8750  4 S 2.69
Ag: 0.0000 0.7500 0.1250  4 S 2.69
Ag: 0.5000 0.2500 0.6250  4 S 2.69
Ag: 0.5000 0.7500 0.3750  4 S 2.69
S: 0.0000 0.2500 0.1511  3 Lu 2.69, 2 Ag 2.69
S: 0.0000 0.2500 0.5989  3 Lu 2.69, 2 Ag 2.69
S: 0.0000 0.7500 0.4011  3 Lu 2.69, 2 Ag 2.69
S: 0.0000 0.7500 0.8489  3 Lu 2.69, 2 Ag 2.69
S: 0.5000 0.2500 0.3489  3 Lu 2.69, 2 Ag 2.69
S: 0.5000 0.2500 0.9011  3 Lu 2.69, 2 Ag 2.69
S: 0.5000 0.7500 0.0989  3 Lu 2.69, 2 Ag 2.69
S: 0.5000 0.7500 0.6511  3 Lu 2.69, 2 Ag 2.69

crystal system: tetragonal

---

# 2
Material: LuAgS2
Method: DFT, PBE
State: relaxed

a b c (Å): 3.8877 3.8877 5.3724
angles (deg): 90.00 90.00 90.00
With the nearest neighbours (Å) after each atom.
Atoms (fractional coordinates):
Lu: 0.0000 0.0000 0.0000  6 S 2.69-2.75
Ag: 0.5000 0.5000 0.5000  6 S 2.69-2.75
S: 0.0000 0.0000 0.5000  2 Lu 2.69, 4 Ag 2.75
S: 0.5000 0.5000 0.0000  2 Ag 2.69, 4 Lu 2.75

crystal system: tetragonal

---

# 3
Material: LuAgS2
Method: DFT, PBE
State: relaxed

a b c (Å): 5.3701 11.8371 5.3721
angles (deg): 90.00 90.00 90.00
With the nearest neighbours (Å) after each atom.
Atoms (fractional coordinates):
Lu: 0.2500 0.1248 0.0000  6 S 2.69-2.71
Lu: 0.2500 0.3752 0.5000  6 S 2.69-2.71
Lu: 0.7500 0.6248 0.5000  6 S 2.69-2.71
Lu: 0.7500 0.8752 0.0000  6 S 2.69-2.71
Ag: 0.2500 0.6282 0.0130  4 S 2.67-2.74
Ag: 0.2500 0.8718 0.5130  4 S 2.67-2.74
Ag: 0.7500 0.1283 0.5130  4 S 2.67-2.74
Ag: 0.7500 0.3717 0.0130  4 S 2.67-2.74
S: 0.2500 0.1478 0.5010  3 Lu 2.69-2.71, 2 Ag 2.70
S: 0.2500 0.3522 0.0010  3 Lu 2.69-2.71, 2 Ag 2.70
S: 0.2500 0.6026 0.5063  2 Ag 2.67-2.74, 3 Lu 2.69-2.70
S: 0.2500 0.8974 0.0063  2 Ag 2.67-2.74, 3 Lu 2.69-2.70
S: 0.7500 0.1026 0.0063  2 Ag 2.67-2.74, 3 Lu 2.69-2.70
S: 0.7500 0.3974 0.5063  2 Ag 2.67-2.74, 3 Lu 2.69-2.70
S: 0.7500 0.6478 0.0010  3 Lu 2.69-2.71, 2 Ag 2.70
S: 0.7500 0.8522 0.5010  3 Lu 2.69-2.71, 2 Ag 2.70

crystal system: orthorhombic

---

Number 1: MP2020-corrected energy -5.447 eV/atom, E_tot -5.196 eV per atom, ΔH_f (0 K) -6.163 eV per formula unit. Number 2: MP2020-corrected energy -5.340 eV/atom, E_tot -5.088 eV per atom, ΔH_f (0 K) -5.733 eV per formula unit. Number 3: MP2020-corrected energy -5.446 eV/atom, E_tot -5.194 eV per atom, ΔH_f (0 K) -6.156 eV per formula unit.